PrTa3O9: relaxed, r2SCAN.

Results
* SG: P2_1/m (11)
* energy relative to the elements: -3298 meV per atom
* density: 8.13 g/cm³

Unit cell a=7.5723 b=5.4396 c=8.2196 alpha=87.61 beta=90.00 gamma=90.00
Sites, in units of the cell vectors:
1 Pr 0.2500 0.9671 0.4341
2 Pr 0.7500 0.0329 0.5659
3 Ta 0.4928 0.5258 0.6996
4 Ta 0.0072 0.5258 0.6996
5 Ta 0.9928 0.4742 0.3004
6 Ta 0.0000 0.0000 0.0000
7 Ta 0.5072 0.4742 0.3004
8 Ta 0.5000 0.0000 0.0000
9 O 0.9520 0.6834 0.1216
10 O 0.0480 0.3166 0.8784
11 O 0.0544 0.1550 0.2129
12 O 0.7500 0.3552 0.3381
13 O 0.0369 0.2675 0.5331
14 O 0.4456 0.1550 0.2129
15 O 0.5480 0.6834 0.1216
16 O 0.5369 0.7325 0.4669
17 O 0.7500 0.0843 0.0152
18 O 0.9456 0.8450 0.7871
19 O 0.7500 0.4445 0.6880
20 O 0.5544 0.8450 0.7871
21 O 0.2500 0.5555 0.3120
22 O 0.4520 0.3166 0.8784
23 O 0.9631 0.7325 0.4669
24 O 0.4631 0.2675 0.5331
25 O 0.2500 0.6448 0.6619
26 O 0.2500 0.9157 0.9848

Pr2TeO2: relaxed, r2SCAN.

Results
* SG: I4/mmm (139)
* energy relative to the elements: -3172 meV per atom
* density: 6.71 g/cm³

Unit cell a=4.0931 b=4.0931 c=7.1320 alpha=106.68 beta=106.68 gamma=90.00
Sites, in units of the cell vectors:
1 Pr 0.6596 0.6596 0.3192
2 Pr 0.3404 0.3404 0.6808
3 Te 0.0000 0.0000 0.0000
4 O 0.2500 0.7500 0.5000
5 O 0.7500 0.2500 0.5000

PrVO4: relaxed, r2SCAN.

Results
* SG: I4_1/amd (141)
* energy relative to the elements: -3228 meV per atom
* density: 4.77 g/cm³

Unit cell a=6.1616 b=6.1616 c=6.1616 alpha=106.08 beta=106.08 gamma=116.48
Sites, in units of the cell vectors:
1 Pr 0.8750 0.1250 0.7500
2 Pr 0.1250 0.8750 0.2500
3 V 0.6250 0.3750 0.2500
4 V 0.3750 0.6250 0.7500
5 O 0.7936 0.3646 0.0710
6 O 0.7936 0.7226 0.4290
7 O 0.6354 0.2064 0.4290
8 O 0.2064 0.2774 0.5710
9 O 0.2064 0.6354 0.9290
10 O 0.2774 0.2064 0.0710
11 O 0.7226 0.7936 0.9290
12 O 0.3646 0.7936 0.5710

Pr2Zr2O7: relaxed, r2SCAN.

Results
* SG: Fd-3m (227)
* energy relative to the elements: -3772 meV per atom
* density: 6.16 g/cm³

Unit cell a=7.6041 b=7.6041 c=7.6041 alpha=60.00 beta=60.00 gamma=60.00
Sites, in units of the cell vectors:
1 Pr 0.6250 0.1250 0.6250
2 Pr 0.6250 0.6250 0.1250
3 Pr 0.1250 0.6250 0.6250
4 Pr 0.6250 0.6250 0.6250
5 Zr 0.6250 0.1250 0.1250
6 Zr 0.1250 0.6250 0.1250
7 Zr 0.1250 0.1250 0.6250
8 Zr 0.1250 0.1250 0.1250
9 O 0.7916 0.7916 0.2084
10 O 0.4584 0.0416 0.4584
11 O 0.2084 0.7916 0.7916
12 O 0.4584 0.4584 0.0416
13 O 0.7916 0.2084 0.7916
14 O 0.0416 0.0416 0.4584
15 O 0.5000 0.5000 0.5000
16 O 0.2084 0.7916 0.2084
17 O 0.0416 0.4584 0.0416
18 O 0.4584 0.0416 0.0416
19 O 0.7916 0.2084 0.2084
20 O 0.2084 0.2084 0.7916
21 O 0.0416 0.4584 0.4584
22 O 0.7500 0.7500 0.7500

PtO2: relaxed, r2SCAN.

Results
* SG: Pnnm (58)
* energy relative to the elements: -621 meV per atom
* density: 11.65 g/cm³

Unit cell a=3.1568 b=4.5472 c=4.5101 alpha=90.00 beta=90.00 gamma=90.00
Sites, in units of the cell vectors:
1 Pt 0.0000 0.0000 0.0000
2 Pt 0.5000 0.5000 0.5000
3 O 0.0000 0.7386 0.6408
4 O 0.0000 0.2614 0.3592
5 O 0.5000 0.2386 0.8592
6 O 0.5000 0.7614 0.1408

Pt3O4: relaxed, r2SCAN.

Results
* SG: Pm-3n (223)
* energy relative to the elements: -577 meV per atom
* density: 12.26 g/cm³

Unit cell a=5.6026 b=5.6027 c=5.6026 alpha=90.00 beta=90.00 gamma=90.00
Sites, in units of the cell vectors:
1 Pt 0.5000 0.2500 0.0000
2 Pt 0.5000 0.7500 0.0000
3 Pt 0.0000 0.5000 0.7500
4 Pt 0.0000 0.5000 0.2500
5 Pt 0.7500 0.0000 0.5000
6 Pt 0.2500 0.0000 0.5000
7 O 0.7500 0.2500 0.2500
8 O 0.2500 0.2500 0.7500
9 O 0.2500 0.7500 0.2500
10 O 0.7500 0.7500 0.7500
11 O 0.2500 0.7500 0.7500
12 O 0.7500 0.7500 0.2500
13 O 0.2500 0.2500 0.2500
14 O 0.7500 0.2500 0.7500

PtO2: relaxed, r2SCAN.

Results
* SG: P6_3mc (186)
* energy relative to the elements: -565 meV per atom
* density: 10.35 g/cm³

Unit cell a=3.1314 b=3.1314 c=8.5834 alpha=90.00 beta=90.00 gamma=120.00
Sites, in units of the cell vectors:
1 Pt 0.6667 0.3333 0.5000
2 Pt 0.3333 0.6667 0.0000
3 O 0.0000 0.0000 0.1092
4 O 0.0000 0.0000 0.6092
5 O 0.3333 0.6667 0.3908
6 O 0.6667 0.3333 0.8908

PtO2: relaxed, r2SCAN.

Results
* SG: P-3m1 (164)
* energy relative to the elements: -565 meV per atom
* density: 10.63 g/cm³

Unit cell a=3.1345 b=3.1345 c=4.1674 alpha=90.00 beta=90.00 gamma=120.00
Sites, in units of the cell vectors:
1 Pt 0.0000 0.0000 0.0000
2 O 0.6667 0.3333 0.7759
3 O 0.3333 0.6667 0.2241

Sm2Pt2O7: relaxed, r2SCAN.

Results
* SG: Fd-3m (227)
* energy relative to the elements: -2193 meV per atom
* density: 9.64 g/cm³

Unit cell a=7.3139 b=7.3139 c=7.3139 alpha=60.00 beta=60.00 gamma=60.00
Sites, in units of the cell vectors:
1 Sm 0.1250 0.1250 0.1250
2 Sm 0.6250 0.1250 0.1250
3 Sm 0.1250 0.6250 0.1250
4 Sm 0.1250 0.1250 0.6250
5 Pt 0.6250 0.6250 0.1250
6 Pt 0.6250 0.6250 0.6250
7 Pt 0.6250 0.1250 0.6250
8 Pt 0.1250 0.6250 0.6250
9 O 0.7117 0.2883 0.2883
10 O 0.7117 0.2883 0.7117
11 O 0.0000 0.0000 0.0000
12 O 0.2883 0.7117 0.2883
13 O 0.7117 0.7117 0.2883
14 O 0.9617 0.5383 0.5383
15 O 0.2883 0.7117 0.7117
16 O 0.2500 0.2500 0.2500
17 O 0.9617 0.5383 0.9617
18 O 0.5383 0.9617 0.5383
19 O 0.5383 0.5383 0.9617
20 O 0.9617 0.9617 0.5383
21 O 0.5383 0.9617 0.9617
22 O 0.2883 0.2883 0.7117

SrPt3O4: relaxed, r2SCAN.

Results
* SG: Pm-3n (223)
* energy relative to the elements: -1217 meV per atom
* density: 12.02 g/cm³

Unit cell a=5.8825 b=5.8825 c=5.8831 alpha=90.00 beta=90.00 gamma=90.00
Sites, in units of the cell vectors:
1 Sr 0.0000 0.0000 0.0000
2 Sr 0.5000 0.5000 0.5000
3 Pt 0.0000 0.5000 0.2500
4 Pt 0.0000 0.5000 0.7500
5 Pt 0.2500 0.0000 0.5000
6 Pt 0.5000 0.2500 0.0000
7 Pt 0.5000 0.7500 0.0000
8 Pt 0.7500 0.0000 0.5000
9 O 0.2500 0.2500 0.2500
10 O 0.2500 0.7500 0.2500
11 O 0.2500 0.2500 0.7500
12 O 0.2500 0.7500 0.7500
13 O 0.7500 0.2500 0.2500
14 O 0.7500 0.2500 0.7500
15 O 0.7500 0.7500 0.2500
16 O 0.7500 0.7500 0.7500

Tl2Pt2O7: relaxed, r2SCAN.

Results
* SG: Fd-3m (227)
* energy relative to the elements: -855 meV per atom
* density: 11.39 g/cm³

Unit cell a=7.2162 b=7.2162 c=7.2162 alpha=60.00 beta=60.00 gamma=60.00
Sites, in units of the cell vectors:
1 Tl 0.6250 0.6250 0.6250
2 Tl 0.1250 0.6250 0.6250
3 Tl 0.6250 0.6250 0.1250
4 Tl 0.6250 0.1250 0.6250
5 Pt 0.1250 0.1250 0.1250
6 Pt 0.6250 0.1250 0.1250
7 Pt 0.1250 0.1250 0.6250
8 Pt 0.1250 0.6250 0.1250
9 O 0.4600 0.4600 0.0400
10 O 0.2100 0.2100 0.7900
11 O 0.0400 0.4600 0.0400
12 O 0.0400 0.4600 0.4600
13 O 0.4600 0.0400 0.0400
14 O 0.4600 0.0400 0.4600
15 O 0.2100 0.7900 0.2100
16 O 0.7900 0.2100 0.7900
17 O 0.7500 0.7500 0.7500
18 O 0.5000 0.5000 0.5000
19 O 0.0400 0.0400 0.4600
20 O 0.7900 0.2100 0.2100
21 O 0.2100 0.7900 0.7900
22 O 0.7900 0.7900 0.2100

TlPt3O4: relaxed, r2SCAN.

Results
* SG: Fm-3m (225)
* energy relative to the elements: -684 meV per atom
* density: 12.42 g/cm³

Unit cell a=6.8607 b=6.8607 c=6.8607 alpha=60.00 beta=60.00 gamma=60.00
Sites, in units of the cell vectors:
1 Tl 0.5000 0.5000 0.5000
2 Tl 0.0000 0.0000 0.0000
3 Pt 0.5000 0.0000 0.0000
4 Pt 0.0000 0.5000 0.5000
5 Pt 0.0000 0.5000 0.0000
6 Pt 0.5000 0.0000 0.5000
7 Pt 0.0000 0.0000 0.5000
8 Pt 0.5000 0.5000 0.0000
9 O 0.1426 0.1426 0.1426
10 O 0.8574 0.8574 0.8574
11 O 0.1426 0.1426 0.5722
12 O 0.1426 0.5722 0.1426
13 O 0.8574 0.8574 0.4278
14 O 0.8574 0.4278 0.8574
15 O 0.5722 0.1426 0.1426
16 O 0.4278 0.8574 0.8574